(1)
Hg3SO6 r²SCAN optimized geometry; formation energy from the elements = -877 meV per atom
1.0
7.097 0.000 0.000
-3.549 6.147 0.000
0.000 0.000 10.115
Hg S O
9 3 18
Direct
0.002 0.704 0.000
0.189 0.501 0.651
0.296 0.298 0.333
0.312 0.811 0.317
0.499 0.688 0.984
0.505 0.190 0.016
0.685 0.495 0.683
0.702 0.998 0.667
0.810 0.315 0.349
0.229 0.007 0.664
0.779 0.771 0.331
0.993 0.221 0.998
0.012 0.893 0.726
0.107 0.119 0.060
0.138 0.392 0.902
0.150 0.480 0.384
0.254 0.862 0.569
0.262 0.203 0.591
0.330 0.850 0.050
0.399 0.075 0.767
0.483 0.155 0.284
0.520 0.670 0.717
0.608 0.746 0.235
0.673 0.517 0.950
0.676 0.601 0.434
0.797 0.059 0.924
0.845 0.327 0.617
0.881 0.988 0.393
0.925 0.324 0.101
0.941 0.738 0.258

(2)
BaCu4S3 r²SCAN optimized geometry; formation energy from the elements = -758 meV per atom
1.0
1.968 -7.242 0.000
1.968 7.242 0.000
0.000 0.000 10.111
Ba Cu S
2 8 6
Direct
0.246 0.754 0.750
0.754 0.246 0.250
0.003 0.997 0.127
0.003 0.997 0.373
0.408 0.592 0.023
0.408 0.592 0.477
0.592 0.408 0.523
0.592 0.408 0.977
0.997 0.003 0.627
0.997 0.003 0.873
0.149 0.851 0.050
0.149 0.851 0.450
0.443 0.557 0.250
0.557 0.443 0.750
0.851 0.149 0.550
0.851 0.149 0.950

(3)
Ag2Se r²SCAN optimized geometry; formation energy from the elements = -133 meV per atom
1.0
5.265 0.000 0.000
0.000 6.798 0.000
0.000 0.000 6.883
Ag Se
8 4
Direct
0.103 0.093 0.303
0.118 0.287 0.916
0.382 0.713 0.416
0.397 0.907 0.803
0.603 0.407 0.697
0.618 0.213 0.084
0.882 0.787 0.584
0.897 0.593 0.197
0.070 0.433 0.535
0.430 0.567 0.035
0.570 0.067 0.465
0.930 0.933 0.965

(4)
Er5Bi3 r²SCAN optimized geometry; formation energy from the elements = -759 meV per atom
1.0
11.895 0.000 0.000
0.000 9.353 0.000
0.000 0.000 8.200
Er Bi
20 12
Direct
0.005 0.250 0.020
0.065 0.064 0.689
0.065 0.436 0.689
0.209 0.750 0.340
0.227 0.250 0.328
0.273 0.750 0.828
0.291 0.250 0.840
0.435 0.564 0.189
0.435 0.936 0.189
0.495 0.750 0.520
0.505 0.250 0.480
0.565 0.064 0.811
0.565 0.436 0.811
0.709 0.750 0.160
0.727 0.250 0.172
0.773 0.750 0.672
0.791 0.250 0.660
0.935 0.564 0.311
0.935 0.936 0.311
0.995 0.750 0.980
0.028 0.750 0.601
0.175 0.508 0.062
0.175 0.992 0.062
0.325 0.008 0.562
0.325 0.492 0.562
0.472 0.250 0.101
0.528 0.750 0.899
0.675 0.508 0.438
0.675 0.992 0.438
0.825 0.008 0.938
0.825 0.492 0.938
0.972 0.250 0.399

(5)
Nb3P r²SCAN optimized geometry; formation energy from the elements = -690 meV per atom
1.0
10.179 0.000 0.000
0.000 10.179 0.000
0.000 0.000 5.134
Nb P
24 8
Direct
0.037 0.941 0.239
0.059 0.537 0.739
0.105 0.263 0.017
0.153 0.836 0.724
0.164 0.653 0.224
0.237 0.105 0.483
0.263 0.395 0.483
0.336 0.847 0.224
0.347 0.664 0.724
0.395 0.237 0.017
0.441 0.963 0.739
0.463 0.559 0.239
0.537 0.441 0.761
0.559 0.037 0.261
0.605 0.763 0.983
0.653 0.336 0.276
0.664 0.153 0.776
0.737 0.605 0.517
0.763 0.895 0.517
0.836 0.347 0.776
0.847 0.164 0.276
0.895 0.737 0.983
0.941 0.463 0.261
0.963 0.059 0.761
0.043 0.275 0.521
0.225 0.043 0.979
0.275 0.457 0.979
0.457 0.225 0.521
0.543 0.775 0.479
0.725 0.543 0.021
0.775 0.957 0.021
0.957 0.725 0.479

(6)
Ho3AlN r²SCAN optimized geometry; formation energy from the elements = -1099 meV per atom
1.0
4.720 0.000 0.000
0.000 4.720 0.000
0.000 0.000 4.720
Ho Al N
3 1 1
Direct
0.000 0.000 0.500
0.000 0.500 0.000
0.500 0.000 0.000
0.500 0.500 0.500
0.000 0.000 0.000

(7)
HfNi2Sb r²SCAN optimized geometry; formation energy from the elements = -542 meV per atom
1.0
4.173 0.000 0.000
-2.087 3.614 0.000
0.000 0.000 8.220
Hf Ni Sb
2 4 2
Direct
0.333 0.667 0.250
0.667 0.333 0.750
0.333 0.667 0.597
0.333 0.667 0.903
0.667 0.333 0.097
0.667 0.333 0.403
0.000 0.000 0.000
0.000 0.000 0.500

(8)
LuHO2 r²SCAN optimized geometry; formation energy from the elements = -2945 meV per atom
1.0
3.359 0.000 0.000
0.000 4.729 0.000
0.000 0.000 5.306
Lu H O
2 2 4
Direct
0.000 0.221 0.000
0.500 0.779 0.500
0.000 0.312 0.478
0.500 0.688 0.978
0.000 0.016 0.642
0.000 0.485 0.367
0.500 0.515 0.867
0.500 0.984 0.142